(1)
LiCa9MgP7O28 | GGA-PBE | relaxed

Lattice parameters (Å, degrees): 10.419 13.842 18.045 102.55 90.00 112.11
Positions (direct):
P 0.027 0.599 0.845
P 0.032 0.098 0.840
P 0.685 0.409 0.410
P 0.188 0.412 0.910
P 0.822 0.600 0.091
P 0.475 0.408 0.661
P 0.290 0.101 0.617
P 0.326 0.099 0.094
P 0.351 0.701 0.116
P 0.552 0.598 0.865
P 0.057 0.601 0.364
P 0.789 0.096 0.117
P 0.602 0.206 0.865
P 0.691 0.912 0.911
P 0.853 0.706 0.620
P 0.828 0.102 0.596
P 0.525 0.602 0.348
P 0.189 0.914 0.411
P 0.980 0.913 0.156
P 0.101 0.204 0.365
P 0.969 0.412 0.160
P 0.319 0.596 0.586
P 0.961 0.411 0.640
P 0.528 0.100 0.337
P 0.456 0.407 0.138
P 0.479 0.913 0.656
P 0.200 0.911 0.890
P 0.699 0.910 0.389
O 0.724 0.032 0.915
O 0.795 0.745 0.556
O 0.969 0.667 0.804
O 0.941 0.603 0.316
O 0.810 0.745 0.696
O 0.540 0.077 0.845
O 0.060 0.672 0.446
O 0.574 0.893 0.436
O 0.976 0.667 0.085
O 0.532 0.486 0.879
O 0.555 0.646 0.435
O 0.650 0.847 0.823
O 0.834 0.390 0.193
O 0.957 0.891 0.067
O 0.096 0.877 0.176
O 0.832 0.849 0.184
O 0.288 0.488 0.537
O 0.810 0.604 0.176
O 0.329 0.984 0.078
O 0.178 0.143 0.815
O 0.204 0.147 0.578
O 0.443 0.169 0.331
O 0.292 0.579 0.095
O 0.533 0.373 0.429
O 0.164 0.601 0.809
O 0.482 0.243 0.874
O 0.194 0.984 0.624
O 0.450 0.983 0.286
O 0.055 0.647 0.934
O 0.987 0.534 0.655
O 0.037 0.374 0.928
O 0.333 0.854 0.688
O 0.464 0.372 0.054
O 0.563 0.878 0.959
O 0.834 0.141 0.685
O 0.195 0.104 0.061
O 0.947 0.350 0.071
O 0.058 0.535 0.166
O 0.863 0.172 0.196
O 0.467 0.665 0.304
O 0.263 0.349 0.937
O 0.788 0.578 0.595
O 0.438 0.601 0.817
O 0.970 0.371 0.552
O 0.941 0.168 0.835
O 0.292 0.855 0.915
O 0.556 0.673 0.946
O 0.517 0.746 0.120
O 0.048 0.101 0.923
O 0.986 0.247 0.374
O 0.693 0.244 0.806
O 0.029 0.031 0.194
O 0.450 0.349 0.575
O 0.039 0.489 0.376
O 0.784 0.850 0.415
O 0.187 0.243 0.446
O 0.357 0.166 0.694
O 0.527 0.032 0.692
O 0.411 0.097 0.565
O 0.297 0.031 0.904
O 0.566 0.373 0.708
O 0.066 0.877 0.457
O 0.681 0.145 0.310
O 0.810 0.352 0.667
O 0.306 0.748 0.199
O 0.949 0.988 0.786
O 0.483 0.533 0.158
O 0.833 0.981 0.580
O 0.404 0.484 0.328
O 0.475 0.669 0.586
O 0.565 0.391 0.184
O 0.589 0.874 0.675
O 0.451 0.892 0.569
O 0.549 0.532 0.665
O 0.073 0.392 0.684
O 0.014 0.743 0.621
O 0.044 0.082 0.349
O 0.340 0.144 0.185
O 0.450 0.169 0.058
O 0.225 0.028 0.415
O 0.788 0.483 0.036
O 0.191 0.641 0.324
O 0.312 0.891 0.445
O 0.064 0.373 0.209
O 0.810 0.889 0.939
O 0.194 0.249 0.304
O 0.328 0.389 0.695
O 0.801 0.034 0.407
O 0.912 0.102 0.068
O 0.153 0.850 0.326
O 0.654 0.874 0.300
O 0.694 0.101 0.562
O 0.699 0.145 0.074
O 0.947 0.165 0.555
O 0.153 0.875 0.804
O 0.722 0.646 0.059
O 0.662 0.603 0.309
O 0.694 0.983 0.128
O 0.683 0.387 0.320
O 0.768 0.352 0.440
O 0.219 0.647 0.563
O 0.694 0.641 0.831
O 0.298 0.748 0.057
O 0.755 0.534 0.445
O 0.259 0.534 0.942
O 0.308 0.350 0.165
O 0.902 0.483 0.830
O 0.692 0.245 0.944
O 0.302 0.600 0.677
O 0.072 0.892 0.936
O 0.188 0.388 0.816
O 0.542 0.101 0.427
Ca 0.315 0.030 0.768
Ca 0.387 0.808 0.325
Ca 0.564 0.709 0.717
Ca 0.896 0.813 0.824
Ca 0.653 0.709 0.214
Ca 0.627 0.811 0.530
Ca 0.773 0.530 0.723
Ca 0.698 0.815 0.051
Ca 0.957 0.527 0.516
Ca 0.064 0.706 0.217
Ca 0.455 0.527 0.016
Ca 0.200 0.815 0.549
Ca 0.608 0.208 0.673
Ca 0.346 0.709 0.920
Ca 0.391 0.204 0.471
Ca 0.724 0.030 0.775
Ca 0.056 0.527 0.023
Ca 0.509 0.035 0.973
Ca 0.219 0.026 0.277
Ca 0.861 0.309 0.299
Ca 0.156 0.709 0.713
Ca 0.277 0.527 0.224
Ca 0.307 0.207 0.965
Ca 0.891 0.201 0.968
Ca 0.667 0.310 0.076
Ca 0.431 0.311 0.284
Ca 0.560 0.527 0.525
Ca 0.820 0.029 0.264
Ca 0.846 0.707 0.418
Ca 0.366 0.313 0.796
Ca 0.001 0.028 0.475
Ca 0.112 0.209 0.172
Ca 0.805 0.209 0.463
Ca 0.935 0.311 0.786
Ca 0.127 0.810 0.031
Ca 0.167 0.313 0.575
Li 0.764 0.533 0.924
Li 0.468 0.940 0.154
Li 0.223 0.443 0.405
Li 0.966 0.939 0.657
Mg 0.253 0.499 0.751
Mg 0.754 0.503 0.251
Mg 0.504 0.002 0.499
Mg 0.001 0.001 0.003

Values from the calculation:
As for the total energy: -7.129 eV per atom.

=====

(2)
B2O3 | GGA-PBE | relaxed

Lattice parameters (Å, degrees): 4.578 4.578 4.170 90.00 90.00 118.67
Positions (direct):
B 0.493 0.824 0.568
B 0.176 0.507 0.068
B 0.824 0.493 0.568
B 0.507 0.176 0.068
O 0.160 0.582 0.417
O 0.582 0.160 0.417
O 0.259 0.259 0.004
O 0.418 0.840 0.917
O 0.840 0.418 0.917
O 0.741 0.741 0.504

Values from the calculation:
As for the total energy: -8.001 eV per atom. The calculation puts the piezoelectric modulus e_max at 1.01 C/m².

=====

(3)
Te2MoW3S6 | GGA-PBE | relaxed

Lattice parameters (Å, degrees): 3.273 3.273 37.248 90.00 90.00 120.00
Positions (direct):
Te 0.667 0.333 0.418
Te 0.667 0.333 0.522
Mo 0.667 0.333 0.282
S 0.333 0.667 0.616
S 0.667 0.333 0.135
S 0.667 0.333 0.052
S 0.333 0.667 0.240
S 0.333 0.667 0.323
S 0.333 0.667 0.699
W 0.667 0.333 0.658
W 0.333 0.667 0.094
W 0.333 0.667 0.470

Values from the calculation:
Its relative energy among the computed polymorphs is 38.4 meV per atom. As for the total energy: -7.319 eV per atom.

=====

(4)
Pr3Hf | GGA-PBE | relaxed

Lattice parameters (Å, degrees): 6.126 6.126 6.126 131.31 131.31 71.33
Positions (direct):
Pr 0.500 0.500 0.000
Pr 0.750 0.250 0.500
Pr 0.250 0.750 0.500
Hf 0.000 0.000 0.000

Values from the calculation:
As for the total energy: -5.860 eV per atom.

=====

(5)
RbScF4 | GGA-PBE | relaxed

Lattice parameters (Å, degrees): 4.134 6.993 8.077 90.00 90.00 107.19
Positions (direct):
Sc 0.000 0.000 0.500
Sc 0.000 0.000 0.000
F 0.854 0.707 0.454
F 0.500 0.000 0.000
F 0.500 0.000 0.500
F 0.146 0.293 0.546
F 0.032 0.065 0.250
F 0.968 0.935 0.750
F 0.146 0.293 0.954
F 0.854 0.707 0.046
Rb 0.729 0.457 0.750
Rb 0.271 0.543 0.250

Values from the calculation:
As for the total energy: -6.098 eV per atom.

=====

(6)
K2Pr4Cl9O2 | GGA-PBE | relaxed

Lattice parameters (Å, degrees): 11.497 8.479 9.594 75.56 90.00 90.00
Positions (direct):
Cl 0.915 0.878 0.700
Cl 0.093 0.106 0.876
Cl 0.750 0.253 0.243
Cl 0.000 0.510 0.277
Cl 0.407 0.106 0.876
Cl 0.250 0.748 0.134
Cl 0.415 0.122 0.300
Cl 0.907 0.894 0.124
Cl 0.750 0.600 0.478
Cl 0.585 0.878 0.700
Cl 0.750 0.252 0.866
Cl 0.000 0.490 0.723
Cl 0.250 0.747 0.757
Cl 0.500 0.510 0.277
Cl 0.593 0.894 0.124
Cl 0.085 0.122 0.300
Cl 0.250 0.400 0.522
Cl 0.500 0.490 0.723
O 0.622 0.548 0.989
O 0.122 0.452 0.011
O 0.878 0.548 0.989
O 0.378 0.452 0.011
Pr 0.750 0.618 0.161
Pr 0.750 0.613 0.786
Pr 0.957 0.284 0.044
Pr 0.043 0.716 0.956
Pr 0.250 0.382 0.839
Pr 0.250 0.387 0.214
Pr 0.543 0.284 0.044
Pr 0.457 0.716 0.956
K 0.452 0.761 0.447
K 0.548 0.239 0.553
K 0.952 0.239 0.553
K 0.048 0.761 0.447

Values from the calculation:
As for the total energy: -5.226 eV per atom.

=====

(7)
Dy3Pt | GGA-PBE | relaxed

Lattice parameters (Å, degrees): 6.529 7.028 9.595 90.00 90.00 90.00
Positions (direct):
Pt 0.949 0.111 0.750
Pt 0.449 0.389 0.250
Pt 0.051 0.889 0.250
Pt 0.551 0.611 0.750
Dy 0.179 0.180 0.439
Dy 0.321 0.680 0.061
Dy 0.679 0.320 0.561
Dy 0.321 0.680 0.439
Dy 0.867 0.528 0.250
Dy 0.367 0.972 0.750
Dy 0.133 0.472 0.750
Dy 0.821 0.820 0.561
Dy 0.679 0.320 0.939
Dy 0.179 0.180 0.061
Dy 0.821 0.820 0.939
Dy 0.633 0.028 0.250

Values from the calculation:
As for the total energy: -5.680 eV per atom.

=====

(8)
Rb2In2Sb3 | GGA-PBE | relaxed

Lattice parameters (Å, degrees): 7.758 15.847 17.700 89.52 90.00 90.00
Positions (direct):
Rb 0.968 0.077 0.611
Rb 0.046 0.654 0.479
Rb 0.546 0.346 0.021
Rb 0.468 0.923 0.889
Rb 0.555 0.557 0.398
Rb 0.471 0.142 0.507
Rb 0.445 0.443 0.602
Rb 0.954 0.346 0.521
Rb 0.032 0.923 0.389
Rb 0.971 0.858 0.993
Rb 0.529 0.858 0.493
Rb 0.029 0.142 0.007
Rb 0.945 0.557 0.898
Rb 0.055 0.443 0.102
Rb 0.454 0.654 0.979
Rb 0.532 0.077 0.111
Sb 0.963 0.026 0.828
Sb 0.537 0.026 0.328
Sb 0.935 0.330 0.889
Sb 0.555 0.836 0.095
Sb 0.208 0.247 0.179
Sb 0.665 0.252 0.675
Sb 0.461 0.477 0.837
Sb 0.065 0.670 0.111
Sb 0.335 0.748 0.325
Sb 0.565 0.330 0.389
Sb 0.792 0.753 0.821
Sb 0.961 0.523 0.663
Sb 0.463 0.974 0.672
Sb 0.835 0.252 0.175
Sb 0.945 0.836 0.595
Sb 0.708 0.753 0.321
Sb 0.039 0.477 0.337
Sb 0.037 0.974 0.172
Sb 0.445 0.164 0.905
Sb 0.292 0.247 0.679
Sb 0.435 0.670 0.611
Sb 0.055 0.164 0.405
Sb 0.165 0.748 0.825
Sb 0.539 0.523 0.163
In 0.788 0.907 0.730
In 0.240 0.593 0.241
In 0.237 0.818 0.177
In 0.260 0.593 0.741
In 0.737 0.182 0.323
In 0.721 0.684 0.169
In 0.212 0.093 0.270
In 0.279 0.316 0.831
In 0.221 0.316 0.331
In 0.712 0.907 0.230
In 0.763 0.182 0.823
In 0.288 0.093 0.770
In 0.263 0.818 0.677
In 0.779 0.684 0.669
In 0.760 0.407 0.759
In 0.740 0.407 0.259

Values from the calculation:
As for the total energy: -3.178 eV per atom.

=====

(9)
TaSiNi | GGA-PBE | relaxed

Lattice parameters (Å, degrees): 3.683 6.214 7.080 90.00 90.00 90.00
Positions (direct):
Si 0.750 0.720 0.381
Si 0.250 0.780 0.881
Si 0.750 0.220 0.119
Si 0.250 0.280 0.619
Ni 0.750 0.846 0.067
Ni 0.250 0.154 0.933
Ni 0.250 0.654 0.567
Ni 0.750 0.346 0.433
Ta 0.250 0.020 0.325
Ta 0.250 0.520 0.175
Ta 0.750 0.980 0.675
Ta 0.750 0.480 0.825

Values from the calculation:
As for the total energy: -8.374 eV per atom.

=====

Q: Number 1 is which compound?
A: LiCa9MgP7O28